A relaxed structure of HfN2, computed with PBE.

Unit cell a=3.2569 b=3.2569 c=7.6067 alpha=90.00 beta=90.00 gamma=120.00
With the nearest neighbours (Å) after each atom.
Positions (direct):
N 0.0000 0.0000 0.0941  1 N 1.43
N 0.0000 0.0000 0.9059  1 N 1.43
N 0.0000 0.0000 0.5941  1 N 1.43
Hf 0.3333 0.6667 0.7500  6 N 2.22
Hf 0.6667 0.3333 0.2500  6 N 2.22
N 0.0000 0.0000 0.4059  1 N 1.43

## Properties
Corrected total energy (MP2020 scheme) (eV/atom): -9.875
Calculated volume (Å³ per atom): 11.65
DFT formation energy (kJ per mole of atoms): -96
Total magnetic moment (μB/cell): 0.00